! PBE Mg6SiNi, optimized geometry; values from VASP
&SYSTEM
  ibrav = 0, nat = 16, ntyp = 3
/
ATOMIC_SPECIES
Si 28.09 Si.upf
Mg 24.30 Mg.upf
Ni 58.69 Ni.upf
ATOMIC_POSITIONS crystal
Si 0.500 0.000 0.332
Si 0.500 0.500 0.832
Mg 0.500 0.248 0.585
Ni 0.500 0.500 0.333
Mg 0.000 0.000 0.170
Ni 0.500 0.000 0.833
Mg 0.500 0.752 0.585
Mg 0.000 0.242 0.911
Mg 0.000 0.258 0.411
Mg 0.000 0.500 0.174
Mg 0.500 0.252 0.085
Mg 0.000 0.000 0.674
Mg 0.000 0.500 0.670
Mg 0.000 0.758 0.911
Mg 0.000 0.742 0.411
Mg 0.500 0.748 0.085
CELL_PARAMETERS angstrom
-3.805 -1.263 -2.466
3.297 -4.346 -2.862
-2.531 -6.778 7.376
! * total magnetization: 0.0 μB/cell
! * electronic total energy: -2.55 eV/atom
! * ΔE to the lowest computed polymorph: 10.5 meV per atom
! * V: 18.722 A^3/atom
! * ΔE_f: 0.05 eV per atom



! PBE MgSi, optimized geometry; values from VASP
&SYSTEM
  ibrav = 0, nat = 24, ntyp = 2
/
ATOMIC_SPECIES
Mg 24.30 Mg.upf
Si 28.09 Si.upf
ATOMIC_POSITIONS crystal
Mg 0.000 0.000 0.000
Mg 0.002 0.533 0.077
Mg 0.061 0.371 0.332
Mg 0.068 0.904 0.400
Mg 0.131 0.343 0.687
Mg 0.155 0.877 0.756
Mg 0.504 0.719 0.046
Mg 0.515 0.250 0.105
Mg 0.567 0.100 0.345
Mg 0.601 0.647 0.437
Mg 0.665 0.602 0.656
Mg 0.688 0.157 0.758
Si 0.071 0.631 0.546
Si 0.218 0.313 0.905
Si 0.234 0.982 0.185
Si 0.335 0.643 0.251
Si 0.346 0.299 0.507
Si 0.363 0.960 0.590
Si 0.471 0.574 0.835
Si 0.536 0.988 0.907
Si 0.746 0.632 0.245
Si 0.747 0.104 0.549
Si 0.829 0.985 0.192
Si 0.901 0.601 0.862
CELL_PARAMETERS angstrom
5.712 0.000 0.000
-0.104 5.946 0.000
-1.360 -2.927 13.383
! * total magnetization: 0.0 μB/cell
! * electronic total energy: -3.44 eV/atom
! * space-group type: No. 1
! * V: 18.939 A^3/atom
! * MP2020-corrected energy: -0.12512 Ha/atom
! * ΔE_f: 0.11 eV per atom



! PBE NaMg14Al, optimized geometry; values from VASP
&SYSTEM
  ibrav = 0, nat = 16, ntyp = 3
/
ATOMIC_SPECIES
Na 22.99 Na.upf
Mg 24.30 Mg.upf
Al 26.98 Al.upf
ATOMIC_POSITIONS crystal
Na 0.000 0.000 0.000
Mg 0.004 0.502 0.000
Mg 0.167 0.333 0.256
Mg 0.167 0.333 0.744
Mg 0.167 0.833 0.256
Mg 0.167 0.833 0.744
Mg 0.498 0.502 0.000
Mg 0.498 0.996 0.000
Mg 0.501 0.002 0.500
Mg 0.501 0.499 0.500
Mg 0.667 0.333 0.247
Mg 0.667 0.333 0.753
Mg 0.667 0.833 0.256
Mg 0.667 0.833 0.744
Mg 0.998 0.499 0.500
Al 0.000 0.000 0.500
CELL_PARAMETERS angstrom
6.344 0.000 0.000
-3.172 5.494 0.000
0.000 0.000 10.461
! * total magnetization: 0.0 μB/cell
! * electronic total energy: -1.69 eV/atom
! * space-group type: No. 187
! * ΔE to the lowest computed polymorph: 3.5 meV per atom
! * V: 22.788 A^3/atom
! * ΔE_f: 0.03 eV per atom



! PBE Ti2ReTc, optimized geometry; values from VASP
&SYSTEM
  ibrav = 0, nat = 4, ntyp = 3
/
ATOMIC_SPECIES
Ti 47.87 Ti.upf
Re 186.21 Re.upf
Tc 98.00 Tc.upf
ATOMIC_POSITIONS crystal
Ti 0.250 0.250 0.250
Ti 0.750 0.750 0.750
Re 0.000 0.000 0.000
Tc 0.500 0.500 0.500
CELL_PARAMETERS angstrom
0.000 3.117 3.117
3.117 0.000 3.117
3.117 3.117 0.000
! * electronic total energy: -10.09 eV/atom
! * space-group type: No. 225
! * V: 15.140 A^3/atom
! * ΔE_f: -0.44 eV per atom



! PBE Re3Ni, optimized geometry; values from VASP
&SYSTEM
  ibrav = 0, nat = 8, ntyp = 2
/
ATOMIC_SPECIES
Re 186.21 Re.upf
Ni 58.69 Ni.upf
ATOMIC_POSITIONS crystal
Re 0.167 0.333 0.250
Re 0.167 0.833 0.250
Re 0.333 0.167 0.750
Re 0.667 0.833 0.250
Re 0.833 0.167 0.750
Re 0.833 0.667 0.750
Ni 0.333 0.667 0.750
Ni 0.667 0.333 0.250
CELL_PARAMETERS angstrom
5.427 0.000 0.000
-2.714 4.700 0.000
0.000 0.000 4.380
! * electronic total energy: -10.89 eV/atom
! * space-group type: No. 194
! * V: 13.968 A^3/atom
! * ΔE_f: -0.11 eV per atom



! PBE Tm23Se32, optimized geometry; values from VASP
&SYSTEM
  ibrav = 0, nat = 55, ntyp = 2
/
ATOMIC_SPECIES
Tm 168.93 Tm.upf
Se 78.96 Se.upf
ATOMIC_POSITIONS crystal
Tm 0.000 0.000 0.000
Tm 0.000 0.005 0.245
Tm 0.000 0.505 0.245
Tm 0.001 0.512 0.998
Tm 0.002 0.009 0.491
Tm 0.003 0.501 0.493
Tm 0.008 0.998 0.744
Tm 0.251 0.256 0.867
Tm 0.252 0.260 0.623
Tm 0.252 0.753 0.868
Tm 0.256 0.263 0.120
Tm 0.256 0.747 0.371
Tm 0.492 0.513 0.744
Tm 0.498 0.014 0.493
Tm 0.499 0.005 0.245
Tm 0.499 0.506 0.245
Tm 0.499 0.994 0.999
Tm 0.744 0.263 0.121
Tm 0.744 0.747 0.370
Tm 0.746 0.754 0.624
Tm 0.748 0.257 0.866
Tm 0.748 0.258 0.621
Tm 0.749 0.754 0.868
Se 0.000 0.005 0.620
Se 0.000 0.506 0.369
Se 0.001 0.015 0.122
Se 0.246 0.761 0.495
Se 0.248 0.254 0.247
Se 0.248 0.755 0.994
Se 0.248 0.757 0.244
Se 0.249 0.256 0.497
Se 0.249 0.756 0.748
Se 0.250 0.253 0.994
Se 0.250 0.256 0.745
Se 0.500 0.001 0.369
Se 0.500 0.501 0.124
Se 0.500 0.503 0.871
Se 0.501 0.006 0.872
Se 0.501 0.008 0.121
Se 0.501 0.506 0.620
Se 0.501 0.508 0.367
Se 0.502 0.009 0.617
Se 0.749 0.755 0.746
Se 0.750 0.758 0.496
Se 0.751 0.253 0.994
Se 0.751 0.254 0.247
Se 0.751 0.254 0.745
Se 0.751 0.755 0.994
Se 0.751 0.756 0.244
Se 0.754 0.254 0.495
Se 0.997 0.505 0.617
Se 0.998 0.995 0.368
Se 0.999 0.006 0.871
Se 0.999 0.503 0.872
Se 0.999 0.504 0.121
CELL_PARAMETERS angstrom
8.039 0.000 0.000
0.012 8.058 0.000
0.010 0.039 22.761
! * total magnetization: 0.0 μB/cell
! * electronic total energy: -5.73 eV/atom
! * space-group type: No. 1
! * V: 26.807 A^3/atom
! * MP2020-corrected energy: -0.22065 Ha/atom
! * ΔE_f: -2.10 eV per atom



! PBE Sn3P4O14, optimized geometry; values from VASP
&SYSTEM
  ibrav = 0, nat = 21, ntyp = 3
/
ATOMIC_SPECIES
Sn 118.71 Sn.upf
P 30.97 P.upf
O 16.00 O.upf
ATOMIC_POSITIONS crystal
Sn 0.000 0.000 0.000
Sn 0.232 0.511 0.319
Sn 0.768 0.489 0.681
P 0.167 0.725 0.703
P 0.347 0.307 0.952
P 0.653 0.693 0.048
P 0.833 0.275 0.297
O 0.028 0.306 0.393
O 0.053 0.914 0.787
O 0.164 0.212 0.899
O 0.270 0.527 0.842
O 0.307 0.341 0.116
O 0.371 0.809 0.088
O 0.395 0.730 0.607
O 0.605 0.270 0.393
O 0.629 0.191 0.912
O 0.693 0.659 0.884
O 0.730 0.473 0.158
O 0.836 0.788 0.101
O 0.947 0.086 0.213
O 0.972 0.694 0.607
CELL_PARAMETERS angstrom
5.673 0.000 0.000
2.696 6.517 0.000
0.392 1.401 8.697
! * total magnetization: 0.0 μB/cell
! * electronic total energy: -6.82 eV/atom
! * space-group type: No. 2
! * ΔE to the lowest computed polymorph: 37.1 meV per atom
! * V: 15.312 A^3/atom
! * MP2020-corrected energy: -0.26759 Ha/atom
! * ΔE_f: -2.38 eV per atom



! PBE Dy12Co5Sn, optimized geometry; values from VASP
&SYSTEM
  ibrav = 0, nat = 18, ntyp = 3
/
ATOMIC_SPECIES
Dy 162.50 Dy.upf
Co 58.93 Co.upf
Sn 118.71 Sn.upf
ATOMIC_POSITIONS crystal
Dy 0.016 0.212 0.804
Dy 0.184 0.288 0.472
Dy 0.184 0.712 0.896
Dy 0.314 0.010 0.696
Dy 0.314 0.617 0.304
Dy 0.408 0.212 0.196
Dy 0.592 0.788 0.804
Dy 0.686 0.383 0.696
Dy 0.686 0.990 0.304
Dy 0.816 0.288 0.104
Dy 0.816 0.712 0.528
Dy 0.984 0.788 0.196
Co 0.000 0.000 0.000
Co 0.113 0.613 0.500
Co 0.378 0.000 0.378
Co 0.622 0.000 0.622
Co 0.887 0.387 0.500
Sn 0.500 0.500 0.000
CELL_PARAMETERS angstrom
-4.732 4.762 4.959
4.732 -4.762 4.959
4.732 4.762 -4.959
! * total magnetization: 0.3 μB/cell
! * electronic total energy: -5.55 eV/atom
! * space-group type: No. 71
! * V: 24.832 A^3/atom
! * ΔE_f: -0.28 eV per atom



! PBE CeSe2, optimized geometry; values from VASP
&SYSTEM
  ibrav = 0, nat = 12, ntyp = 2
/
ATOMIC_SPECIES
Ce 140.12 Ce.upf
Se 78.96 Se.upf
ATOMIC_POSITIONS crystal
Ce 0.241 0.250 0.364
Ce 0.256 0.250 0.868
Ce 0.744 0.750 0.132
Ce 0.759 0.750 0.636
Se 0.015 0.750 0.890
Se 0.236 0.750 0.247
Se 0.258 0.750 0.568
Se 0.493 0.250 0.114
Se 0.507 0.750 0.886
Se 0.742 0.250 0.432
Se 0.764 0.250 0.753
Se 0.985 0.250 0.110
CELL_PARAMETERS angstrom
5.608 0.000 0.000
0.000 5.234 0.000
-0.013 0.000 10.620
! * total magnetization: 1.9 μB/cell
! * electronic total energy: -5.79 eV/atom
! * space-group type: No. 11
! * V: 25.974 A^3/atom
! * MP2020-corrected energy: -0.22447 Ha/atom
! * ΔE_f: -1.80 eV per atom



! PBE Na3ZnGe3P5SO24, optimized geometry; values from VASP
&SYSTEM
  ibrav = 0, nat = 111, ntyp = 6
/
ATOMIC_SPECIES
Na 22.99 Na.upf
Zn 65.41 Zn.upf
Ge 72.64 Ge.upf
P 30.97 P.upf
S 32.06 S.upf
O 16.00 O.upf
ATOMIC_POSITIONS crystal
Na 0.000 0.000 0.000
Na 0.002 0.997 0.501
Na 0.034 0.662 0.915
Na 0.334 0.331 0.333
Na 0.337 0.319 0.831
Na 0.367 0.997 0.249
Na 0.661 0.655 0.669
Na 0.671 0.648 0.168
Na 0.975 0.680 0.587
Zn 0.001 0.991 0.857
Zn 0.329 0.327 0.684
Zn 0.342 0.323 0.188
Ge 0.001 0.988 0.357
Ge 0.335 0.321 0.483
Ge 0.346 0.309 0.983
Ge 0.660 0.655 0.021
Ge 0.665 0.655 0.519
Ge 0.671 0.652 0.316
Ge 0.674 0.657 0.818
Ge 0.998 0.000 0.150
Ge 0.998 0.989 0.649
P 0.000 0.696 0.754
P 0.041 0.319 0.584
P 0.285 0.703 0.254
P 0.336 0.027 0.086
P 0.340 0.613 0.585
P 0.379 0.946 0.418
P 0.386 0.650 0.919
P 0.621 0.033 0.585
P 0.628 0.322 0.085
P 0.660 0.944 0.920
P 0.667 0.367 0.419
P 0.722 0.984 0.254
P 0.956 0.367 0.922
P 0.958 0.654 0.419
P 0.993 0.281 0.254
S 0.040 0.616 0.085
S 0.294 0.986 0.753
S 0.710 0.282 0.753
O 0.022 0.148 0.592
O 0.023 0.800 0.089
O 0.024 0.780 0.811
O 0.034 0.155 0.311
O 0.107 0.371 0.640
O 0.115 0.506 0.139
O 0.145 0.360 0.928
O 0.148 0.483 0.426
O 0.153 0.538 0.027
O 0.162 0.007 0.091
O 0.162 0.298 0.249
O 0.162 0.509 0.747
O 0.163 0.281 0.526
O 0.163 0.806 0.591
O 0.170 0.791 0.312
O 0.187 0.014 0.808
O 0.188 0.964 0.412
O 0.197 0.813 0.916
O 0.207 0.830 0.196
O 0.214 0.951 0.696
O 0.290 0.534 0.528
O 0.295 0.152 0.029
O 0.305 0.519 0.249
O 0.320 0.142 0.746
O 0.362 0.135 0.426
O 0.366 0.477 0.927
O 0.371 0.098 0.145
O 0.378 0.505 0.642
O 0.463 0.824 0.475
O 0.468 0.685 0.977
O 0.475 0.694 0.260
O 0.477 0.812 0.757
O 0.485 0.132 0.926
O 0.495 0.350 0.426
O 0.496 0.865 0.359
O 0.507 0.612 0.861
O 0.507 0.638 0.574
O 0.507 0.837 0.076
O 0.513 0.101 0.642
O 0.515 0.365 0.142
O 0.531 0.302 0.746
O 0.532 0.146 0.251
O 0.543 0.153 0.526
O 0.545 0.285 0.027
O 0.623 0.865 0.862
O 0.628 0.488 0.361
O 0.654 0.490 0.076
O 0.654 0.836 0.575
O 0.697 0.467 0.757
O 0.700 0.819 0.977
O 0.703 0.809 0.260
O 0.706 0.449 0.475
O 0.792 0.176 0.808
O 0.806 0.017 0.311
O 0.817 0.686 0.758
O 0.818 0.468 0.261
O 0.819 0.007 0.590
O 0.819 0.147 0.091
O 0.828 0.205 0.696
O 0.828 0.963 0.917
O 0.838 0.177 0.412
O 0.838 0.459 0.978
O 0.840 0.947 0.195
O 0.841 0.691 0.477
O 0.850 0.491 0.574
O 0.855 0.637 0.077
O 0.873 0.618 0.362
O 0.879 0.494 0.863
O 0.956 0.202 0.196
O 0.962 0.818 0.693
O 0.975 0.827 0.412
O 0.976 0.184 0.916
CELL_PARAMETERS angstrom
8.502 0.000 0.000
4.245 7.387 0.000
0.152 0.118 21.902
! * total magnetization: 0.0 μB/cell
! * electronic total energy: -6.47 eV/atom
! * space-group type: No. 1
! * V: 12.392 A^3/atom
! * MP2020-corrected energy: -0.25424 Ha/atom
! * ΔE_f: -2.35 eV per atom



! PBE LuH9C5N2O8, optimized geometry; values from VASP
&SYSTEM
  ibrav = 0, nat = 25, ntyp = 5
/
ATOMIC_SPECIES
Lu 174.97 Lu.upf
H 1.01 H.upf
C 12.01 C.upf
N 14.01 N.upf
O 16.00 O.upf
ATOMIC_POSITIONS crystal
Lu 0.000 0.000 0.000
H 0.086 0.914 0.500
H 0.193 0.361 0.414
H 0.445 0.542 0.823
H 0.458 0.555 0.177
H 0.469 0.160 0.127
H 0.483 0.263 0.536
H 0.639 0.807 0.586
H 0.737 0.517 0.464
H 0.840 0.531 0.873
C 0.290 0.538 0.709
C 0.462 0.710 0.291
C 0.474 0.052 0.964
C 0.934 0.066 0.500
C 0.948 0.526 0.036
N 0.322 0.373 0.541
N 0.627 0.678 0.459
O 0.015 0.686 0.126
O 0.101 0.682 0.742
O 0.314 0.985 0.874
O 0.318 0.899 0.258
O 0.646 0.006 0.882
O 0.849 0.145 0.671
O 0.855 0.151 0.329
O 0.994 0.354 0.118
CELL_PARAMETERS angstrom
5.584 -3.606 0.000
5.584 3.606 0.000
-2.098 0.000 6.191
! * total magnetization: 0.0 μB/cell
! * electronic total energy: -6.50 eV/atom
! * space-group type: No. 5
! * ΔE to the lowest computed polymorph: 8.9 meV per atom
! * V: 9.975 A^3/atom
! * MP2020-corrected energy: -0.24713 Ha/atom
! * ΔE_f: -1.23 eV per atom



! PBE AgHg2PO4, optimized geometry; values from VASP
&SYSTEM
  ibrav = 0, nat = 32, ntyp = 4
/
ATOMIC_SPECIES
Ag 107.87 Ag.upf
Hg 200.59 Hg.upf
P 30.97 P.upf
O 16.00 O.upf
ATOMIC_POSITIONS crystal
Ag 0.029 0.149 0.000
Ag 0.471 0.649 0.000
Ag 0.529 0.351 0.000
Ag 0.971 0.851 0.000
Hg 0.247 0.968 0.214
Hg 0.247 0.968 0.786
Hg 0.253 0.468 0.214
Hg 0.253 0.468 0.786
Hg 0.747 0.532 0.214
Hg 0.747 0.532 0.786
Hg 0.753 0.032 0.214
Hg 0.753 0.032 0.786
P 0.044 0.714 0.500
P 0.456 0.214 0.500
P 0.544 0.786 0.500
P 0.956 0.286 0.500
O 0.049 0.303 0.291
O 0.049 0.303 0.709
O 0.116 0.864 0.500
O 0.171 0.598 0.500
O 0.329 0.098 0.500
O 0.384 0.364 0.500
O 0.451 0.803 0.291
O 0.451 0.803 0.709
O 0.549 0.197 0.291
O 0.549 0.197 0.709
O 0.616 0.636 0.500
O 0.671 0.902 0.500
O 0.829 0.402 0.500
O 0.884 0.136 0.500
O 0.951 0.697 0.291
O 0.951 0.697 0.709
CELL_PARAMETERS angstrom
8.849 0.000 0.000
0.000 9.494 0.000
0.000 0.000 6.272
! * total magnetization: 0.0 μB/cell
! * electronic total energy: -4.75 eV/atom
! * space-group type: No. 55
! * V: 16.467 A^3/atom
! * MP2020-corrected energy: -0.18713 Ha/atom
! * ΔE_f: -1.51 eV per atom